Record 1
VASP calculation (PBE+U) on a relaxed LiDy2Mn4O8 crystal.

Lattice parameters (Å, degrees): 6.976 6.759 6.245 62.22 62.85 54.37
Element x y z (fractional)
Li (0.650, 0.593, 0.617)
Dy (0.093, 0.149, 0.134)
Dy (0.908, 0.857, 0.863)
Mn (0.510, 0.024, 0.481)
Mn (0.036, 0.528, 0.467)
Mn (0.470, 0.480, 0.036)
Mn (0.460, 0.467, 0.534)
O (0.777, 0.723, 0.713)
O (0.232, 0.285, 0.719)
O (0.237, 0.742, 0.267)
O (0.710, 0.252, 0.272)
O (0.718, 0.258, 0.761)
O (0.301, 0.747, 0.726)
O (0.241, 0.287, 0.260)
O (0.787, 0.725, 0.276)

## Properties
**Relative energy among the computed polymorphs**: 72 meV per atom
**Space-group type**: No. 1
**Energy of formation from the pure elements**: -2.443 eV/atom

Record 2
VASP calculation (PBE+U) on a relaxed LiCoPO4 crystal.

Lattice parameters (Å, degrees): 4.955 8.221 8.904 90.00 90.00 90.00
Element x y z (fractional)
Li (0.920, 0.056, 0.607)
Li (0.420, 0.444, 0.107)
Li (0.920, 0.556, 0.893)
Li (0.420, 0.944, 0.393)
Co (0.030, 0.148, 0.027)
Co (0.530, 0.352, 0.527)
Co (0.030, 0.648, 0.473)
Co (0.530, 0.852, 0.973)
P (0.563, 0.236, 0.860)
P (0.063, 0.264, 0.360)
P (0.563, 0.736, 0.640)
P (0.063, 0.764, 0.140)
O (0.673, 0.079, 0.944)
O (0.185, 0.120, 0.449)
O (0.252, 0.240, 0.861)
O (0.668, 0.225, 0.696)
O (0.168, 0.275, 0.196)
O (0.752, 0.260, 0.361)
O (0.685, 0.380, 0.949)
O (0.173, 0.421, 0.444)
O (0.673, 0.579, 0.556)
O (0.185, 0.620, 0.051)
O (0.252, 0.740, 0.639)
O (0.668, 0.725, 0.804)
O (0.168, 0.775, 0.304)
O (0.752, 0.760, 0.139)
O (0.685, 0.880, 0.551)
O (0.173, 0.921, 0.056)

## Properties
**Relative energy among the computed polymorphs**: 61 meV per atom
**Space-group type**: No. 33
**Energy of formation from the pure elements**: -2.347 eV/atom

Record 3
VASP calculation (PBE+U) on a relaxed LiCoO2 crystal.

Lattice parameters (Å, degrees): 2.939 2.939 9.860 90.00 90.00 120.00
Element x y z (fractional)
Li (0.667, 0.333, 0.258)
Li (0.333, 0.667, 0.758)
Co (0.667, 0.333, 0.001)
Co (0.333, 0.667, 0.501)
O (0.000, 0.000, 0.887)
O (0.000, 0.000, 0.387)
O (0.667, 0.333, 0.613)
O (0.333, 0.667, 0.113)

## Properties
**Piezoelectric modulus e_max**: 0.64 C/m2
**Space-group type**: No. 186
**Energy of formation from the pure elements**: -1.659 eV/atom

Record 4
VASP calculation (PBE+U) on a relaxed Nb2Ni4O9 crystal.

Lattice parameters (Å, degrees): 5.123 8.813 14.491 90.00 90.00 90.00
Element x y z (fractional)
Nb (0.498, 0.531, 0.355)
Nb (0.998, 0.969, 0.355)
Nb (0.002, 0.969, 0.855)
Nb (0.502, 0.531, 0.855)
Nb (0.498, 0.469, 0.145)
Nb (0.998, 0.031, 0.145)
Nb (0.502, 0.469, 0.645)
Nb (0.002, 0.031, 0.645)
Ni (0.995, 0.665, 0.003)
Ni (0.501, 0.837, 0.187)
Ni (0.505, 0.165, 0.997)
Ni (0.999, 0.337, 0.813)
Ni (0.495, 0.835, 0.003)
Ni (0.499, 0.163, 0.813)
Ni (0.505, 0.835, 0.503)
Ni (0.501, 0.163, 0.313)
Ni (0.001, 0.337, 0.313)
Ni (0.001, 0.663, 0.187)
Ni (0.495, 0.165, 0.497)
Ni (0.005, 0.335, 0.997)
Ni (0.995, 0.335, 0.497)
Ni (0.999, 0.663, 0.687)
Ni (0.499, 0.837, 0.687)
Ni (0.005, 0.665, 0.503)
O (0.647, 0.350, 0.749)
O (0.827, 0.835, 0.597)
O (0.673, 0.335, 0.403)
O (0.327, 0.665, 0.597)
O (0.210, 0.500, 0.750)
O (0.170, 0.171, 0.071)
O (0.330, 0.329, 0.571)
O (0.834, 0.504, 0.585)
O (0.830, 0.171, 0.571)
O (0.670, 0.329, 0.071)
O (0.327, 0.335, 0.903)
O (0.173, 0.165, 0.403)
O (0.666, 0.996, 0.085)
O (0.353, 0.350, 0.249)
O (0.334, 0.996, 0.585)
O (0.147, 0.850, 0.751)
O (0.673, 0.665, 0.097)
O (0.166, 0.496, 0.415)
O (0.330, 0.671, 0.929)
O (0.790, 0.500, 0.250)
O (0.853, 0.150, 0.249)
O (0.853, 0.850, 0.251)
O (0.647, 0.650, 0.751)
O (0.834, 0.496, 0.915)
O (0.290, 0.000, 0.250)
O (0.166, 0.504, 0.085)
O (0.173, 0.835, 0.097)
O (0.666, 0.004, 0.415)
O (0.710, 0.000, 0.750)
O (0.170, 0.829, 0.429)
O (0.670, 0.671, 0.429)
O (0.334, 0.004, 0.915)
O (0.147, 0.150, 0.749)
O (0.830, 0.829, 0.929)
O (0.353, 0.650, 0.251)
O (0.827, 0.165, 0.903)

## Properties
**Relative energy among the computed polymorphs**: 0 meV per atom
**Space-group type**: No. 60
**Energy of formation from the pure elements**: -2.076 eV/atom

Record 5
VASP calculation (PBE+U) on a relaxed MgCo2Mo2O8 crystal.

Lattice parameters (Å, degrees): 5.148 4.958 5.930 90.00 90.00 87.34
Element x y z (fractional)
Mg (0.500, 0.250, 0.082)
Co (0.500, 0.250, 0.631)
Co (0.500, 0.750, 0.390)
Mo (0.000, 0.250, 0.183)
Mo (0.000, 0.750, 0.827)
O (0.711, 0.401, 0.362)
O (0.289, 0.099, 0.362)
O (0.258, 0.594, 0.627)
O (0.742, 0.906, 0.627)
O (0.788, 0.953, 0.107)
O (0.212, 0.547, 0.107)
O (0.227, 0.058, 0.902)
O (0.773, 0.442, 0.902)

## Properties
**Relative energy among the computed polymorphs**: 198 meV per atom
**Space-group type**: No. 3
**Energy of formation from the pure elements**: -1.693 eV/atom

Record 6
VASP calculation (PBE+U) on a relaxed Na12MnCu2H16S8O32 crystal.

Lattice parameters (Å, degrees): 9.792 13.063 13.275 90.00 91.00 90.00
Element x y z (fractional)
Na (0.833, 0.043, 0.578)
Na (0.333, 0.457, 0.078)
Na (0.167, 0.957, 0.422)
Na (0.667, 0.543, 0.922)
Na (0.982, 0.275, 0.554)
Na (0.482, 0.225, 0.054)
Na (0.018, 0.725, 0.446)
Na (0.518, 0.775, 0.946)
Na (0.565, 0.150, 0.736)
Na (0.065, 0.350, 0.236)
Na (0.435, 0.850, 0.264)
Na (0.935, 0.650, 0.764)
Na (0.782, 0.906, 0.799)
Na (0.282, 0.594, 0.299)
Na (0.218, 0.094, 0.201)
Na (0.718, 0.406, 0.701)
Na (0.349, 0.381, 0.618)
Na (0.849, 0.119, 0.118)
Na (0.651, 0.619, 0.382)
Na (0.151, 0.881, 0.882)
Na (0.222, 0.056, 0.668)
Na (0.722, 0.444, 0.168)
Na (0.778, 0.944, 0.332)
Na (0.278, 0.556, 0.832)
Mn (0.500, 0.000, 0.500)
Mn (0.000, 0.500, 0.000)
Cu (0.968, 0.252, 0.875)
Cu (0.468, 0.248, 0.375)
Cu (0.032, 0.748, 0.125)
Cu (0.532, 0.752, 0.625)
H (0.155, 0.858, 0.610)
H (0.655, 0.642, 0.110)
H (0.845, 0.142, 0.390)
H (0.345, 0.358, 0.890)
H (0.996, 0.876, 0.603)
H (0.496, 0.624, 0.103)
H (0.004, 0.124, 0.397)
H (0.504, 0.376, 0.897)
H (0.516, 0.026, 0.895)
H (0.016, 0.474, 0.395)
H (0.484, 0.974, 0.105)
H (0.984, 0.526, 0.605)
H (0.631, 0.094, 0.938)
H (0.131, 0.406, 0.438)
H (0.369, 0.906, 0.062)
H (0.869, 0.594, 0.562)
H (0.264, 0.249, 0.770)
H (0.764, 0.251, 0.270)
H (0.736, 0.751, 0.230)
H (0.236, 0.749, 0.730)
H (0.322, 0.175, 0.852)
H (0.822, 0.325, 0.352)
H (0.678, 0.825, 0.148)
H (0.178, 0.675, 0.648)
H (0.615, 0.508, 0.562)
H (0.115, 0.992, 0.062)
H (0.385, 0.492, 0.438)
H (0.885, 0.008, 0.938)
H (0.711, 0.434, 0.500)
H (0.211, 0.066, 0.000)
H (0.289, 0.566, 0.500)
H (0.789, 0.934, 0.000)
S (0.610, 0.247, 0.513)
S (0.110, 0.253, 0.013)
S (0.390, 0.753, 0.487)
S (0.890, 0.747, 0.987)
S (0.939, 0.114, 0.775)
S (0.439, 0.386, 0.275)
S (0.061, 0.886, 0.225)
S (0.561, 0.614, 0.725)
S (0.453, 0.887, 0.720)
S (0.953, 0.613, 0.220)
S (0.547, 0.113, 0.280)
S (0.047, 0.387, 0.780)
S (0.275, 0.186, 0.443)
S (0.775, 0.314, 0.943)
S (0.725, 0.814, 0.557)
S (0.225, 0.686, 0.057)
O (0.751, 0.296, 0.497)
O (0.251, 0.204, 0.997)
O (0.249, 0.704, 0.503)
O (0.749, 0.796, 0.003)
O (0.558, 0.294, 0.611)
O (0.058, 0.206, 0.111)
O (0.442, 0.706, 0.389)
O (0.942, 0.794, 0.889)
O (0.001, 0.017, 0.821)
O (0.501, 0.483, 0.321)
O (0.999, 0.983, 0.179)
O (0.499, 0.517, 0.679)
O (0.005, 0.131, 0.673)
O (0.505, 0.369, 0.173)
O (0.995, 0.869, 0.327)
O (0.495, 0.631, 0.827)
O (0.301, 0.879, 0.745)
O (0.801, 0.621, 0.245)
O (0.699, 0.121, 0.255)
O (0.199, 0.379, 0.755)
O (0.213, 0.256, 0.520)
O (0.713, 0.244, 0.020)
O (0.787, 0.744, 0.480)
O (0.287, 0.756, 0.980)
O (0.305, 0.084, 0.500)
O (0.805, 0.416, 0.000)
O (0.695, 0.916, 0.500)
O (0.195, 0.584, 0.000)
O (0.085, 0.899, 0.576)
O (0.585, 0.601, 0.076)
O (0.915, 0.101, 0.424)
O (0.415, 0.399, 0.924)
O (0.634, 0.133, 0.537)
O (0.134, 0.367, 0.037)
O (0.366, 0.867, 0.463)
O (0.866, 0.633, 0.963)
O (0.467, 0.991, 0.665)
O (0.967, 0.509, 0.165)
O (0.533, 0.009, 0.335)
O (0.033, 0.491, 0.835)
O (0.533, 0.900, 0.819)
O (0.033, 0.600, 0.319)
O (0.467, 0.100, 0.181)
O (0.967, 0.400, 0.681)
O (0.535, 0.097, 0.916)
O (0.035, 0.403, 0.416)
O (0.465, 0.903, 0.084)
O (0.965, 0.597, 0.584)
O (0.321, 0.187, 0.779)
O (0.821, 0.313, 0.279)
O (0.679, 0.813, 0.221)
O (0.179, 0.687, 0.721)
O (0.790, 0.087, 0.752)
O (0.290, 0.413, 0.252)
O (0.210, 0.913, 0.248)
O (0.710, 0.587, 0.748)
O (0.165, 0.157, 0.364)
O (0.665, 0.343, 0.864)
O (0.835, 0.843, 0.636)
O (0.335, 0.657, 0.136)
O (0.696, 0.507, 0.519)
O (0.196, 0.993, 0.019)
O (0.304, 0.493, 0.481)
O (0.804, 0.007, 0.981)

## Properties
**Space-group type**: No. 14
**Energy of formation from the pure elements**: -1.699 eV/atom

Record 7
VASP calculation (PBE+U) on a relaxed LiMnF4 crystal.

Lattice parameters (Å, degrees): 6.275 6.275 4.928 67.94 67.94 52.01
Element x y z (fractional)
Li (0.676, 0.315, 0.256)
Li (0.315, 0.676, 0.756)
Mn (0.992, 0.499, 0.501)
Mn (0.499, 0.992, 0.001)
F (0.479, 0.724, 0.316)
F (0.013, 0.274, 0.315)
F (0.724, 0.479, 0.816)
F (0.274, 0.013, 0.815)
F (0.955, 0.737, 0.686)
F (0.489, 0.282, 0.692)
F (0.737, 0.955, 0.186)
F (0.282, 0.489, 0.192)

## Properties
**Piezoelectric modulus e_max**: 0.31 C/m2
**Space-group type**: No. 9
**Energy of formation from the pure elements**: -2.877 eV/atom

Record 8
VASP calculation (PBE+U) on a relaxed K4Mn2H16S4O23 crystal.

Lattice parameters (Å, degrees): 7.951 8.105 9.757 86.27 86.60 80.80
Element x y z (fractional)
K (0.393, 0.909, 0.750)
K (0.910, 0.420, 0.727)
K (0.088, 0.592, 0.256)
K (0.582, 0.100, 0.228)
Mn (0.997, 0.002, 0.993)
Mn (0.506, 0.505, 0.501)
H (0.972, 0.906, 0.699)
H (0.921, 0.922, 0.284)
H (0.338, 0.829, 0.380)
H (0.440, 0.737, 0.259)
H (0.345, 0.767, 0.033)
H (0.229, 0.654, 0.966)
H (0.167, 0.664, 0.621)
H (0.266, 0.558, 0.740)
H (0.731, 0.436, 0.258)
H (0.826, 0.335, 0.379)
H (0.775, 0.348, 0.029)
H (0.658, 0.240, 0.957)
H (0.557, 0.256, 0.743)
H (0.661, 0.182, 0.613)
H (0.065, 0.070, 0.707)
H (0.059, 0.044, 0.300)
S (0.740, 0.767, 0.611)
S (0.733, 0.739, 0.114)
S (0.262, 0.262, 0.888)
S (0.244, 0.245, 0.394)
O (0.996, 0.996, 0.760)
O (0.828, 0.831, 0.008)
O (0.771, 0.785, 0.253)
O (0.938, 0.757, 0.602)
O (0.545, 0.788, 0.098)
O (0.689, 0.718, 0.758)
O (0.229, 0.766, 0.999)
O (0.711, 0.617, 0.527)
O (0.372, 0.716, 0.346)
O (0.284, 0.631, 0.656)
O (0.785, 0.554, 0.103)
O (0.213, 0.446, 0.905)
O (0.713, 0.360, 0.339)
O (0.631, 0.285, 0.661)
O (0.772, 0.237, 0.994)
O (0.346, 0.334, 0.480)
O (0.282, 0.293, 0.247)
O (0.451, 0.209, 0.901)
O (0.059, 0.297, 0.431)
O (0.216, 0.222, 0.751)
O (0.170, 0.166, 0.996)
O (0.293, 0.060, 0.421)
O (0.994, 0.996, 0.235)

## Properties
**Space-group type**: No. 1
**Energy of formation from the pure elements**: -1.653 eV/atom

Record 9
VASP calculation (PBE+U) on a relaxed MgFe3Co5O16 crystal.

Lattice parameters (Å, degrees): 5.870 5.720 8.908 89.15 91.33 119.91
Element x y z (fractional)
Mg (0.175, 0.345, 0.951)
Fe (0.673, 0.836, 0.209)
Fe (0.837, 0.674, 0.703)
Fe (0.821, 0.165, 0.694)
Co (0.161, 0.822, 0.210)
Co (0.338, 0.679, 0.485)
Co (0.180, 0.335, 0.237)
Co (0.340, 0.171, 0.700)
Co (0.668, 0.328, 0.986)
O (0.185, 0.844, 0.602)
O (0.045, 0.521, 0.346)
O (0.313, 0.640, 0.109)
O (0.015, 0.998, 0.319)
O (0.015, 0.026, 0.808)
O (0.187, 0.359, 0.602)
O (0.457, 0.949, 0.340)
O (0.466, 0.513, 0.356)
O (0.326, 0.164, 0.105)
O (0.660, 0.838, 0.591)
O (0.511, 0.467, 0.843)
O (0.507, 0.045, 0.843)
O (0.652, 0.325, 0.591)
O (0.834, 0.650, 0.103)
O (0.947, 0.464, 0.844)
O (0.852, 0.176, 0.095)

## Properties
**Relative energy among the computed polymorphs**: 10 meV per atom
**Space-group type**: No. 1
**Energy of formation from the pure elements**: -1.283 eV/atom

Number 1: theoretical density 5.52 g/cm³. Number 2: theoretical density 2.95 g/cm³. Number 3: theoretical density 4.41 g/cm³. Number 4: theoretical density 5.73 g/cm³. Number 5: theoretical density 5.07 g/cm³. Number 6: theoretical density 2.43 g/cm³. Number 7: theoretical density 3.30 g/cm³. Number 8: theoretical density 2.09 g/cm³. Number 9: theoretical density 4.76 g/cm³.